Entry from Materials Project: an optimized crystal structure of TeMoWSe2S (GGA-PBE).

Offset from the most stable computed form (eV per atom): 0.022
Size of the total moment (μB per atom): 0.000
DFT formation energy (meV/atom): -602
V (Å³ per cell): 368.73

a = 3.3436 Å, b = 3.3436 Å, c = 38.0855 Å
α = 90.00°, β = 90.00°, γ = 120.00°
Space group P3m1 (No. 156)
One atom of each set of equivalent atoms:
Te 0.0000 0.0000 0.0000 x1
Te 0.0000 0.0000 0.1001 x1
Mo 0.0000 0.0000 0.2379 x1
Mo 0.0000 0.0000 0.8621 x1
W 0.3333 0.6667 0.0500 x1
W 0.3333 0.6667 0.4258 x1
Se 0.3333 0.6667 0.1942 x1
Se 0.3333 0.6667 0.2817 x1
Se 0.3333 0.6667 0.8184 x1
Se 0.3333 0.6667 0.9059 x1
S 0.0000 0.0000 0.3858 x1
S 0.0000 0.0000 0.4658 x1

=====

Entry from Materials Project: an optimized crystal structure of Te2Mo3WSe2S4 (GGA-PBE).

Offset from the most stable computed form (eV per atom): 0.016
Size of the total moment (μB per atom): 0.000
DFT formation energy (meV/atom): -757
V (Å³ per cell): 370.58

a = 3.3070 Å, b = 3.3070 Å, c = 39.1271 Å
α = 90.00°, β = 90.00°, γ = 120.00°
Space group P3m1 (No. 156)
One atom of each set of equivalent atoms:
Te 0.0000 0.0000 0.0000 x1
Te 0.0000 0.0000 0.0978 x1
Mo 0.0000 0.0000 0.8614 x1
Mo 0.3333 0.6667 0.0489 x1
Mo 0.3333 0.6667 0.4255 x1
W 0.0000 0.0000 0.2388 x1
Se 0.3333 0.6667 0.1957 x1
Se 0.3333 0.6667 0.2819 x1
S 0.0000 0.0000 0.3864 x1
S 0.0000 0.0000 0.4645 x1
S 0.3333 0.6667 0.8224 x1
S 0.3333 0.6667 0.9004 x1

=====

Entry from Materials Project: an optimized crystal structure of Te2MoWSeS (GGA-PBE).

Offset from the most stable computed form (eV per atom): 0.057
Size of the total moment (μB per atom): 0.001
DFT formation energy (meV/atom): -450
V (Å³ per cell): 388.66

a = 3.4013 Å, b = 3.4013 Å, c = 38.7918 Å
α = 90.00°, β = 90.00°, γ = 120.00°
Space group P3m1 (No. 156)
One atom of each set of equivalent atoms:
Te 0.0000 0.0000 0.0000 x1
Te 0.0000 0.0000 0.0970 x1
Te 0.3333 0.6667 0.1880 x1
Te 0.3333 0.6667 0.2850 x1
Mo 0.0000 0.0000 0.8607 x1
Mo 0.3333 0.6667 0.4243 x1
W 0.0000 0.0000 0.2365 x1
W 0.3333 0.6667 0.0485 x1
Se 0.0000 0.0000 0.3819 x1
Se 0.0000 0.0000 0.4667 x1
S 0.3333 0.6667 0.8219 x1
S 0.3333 0.6667 0.8995 x1

=====

Entry from Materials Project: an optimized crystal structure of Te2Mo3WSe4S2 (GGA-PBE).

Offset from the most stable computed form (eV per atom): 0.001
Size of the total moment (μB per atom): 0.000
DFT formation energy (meV/atom): -652
V (Å³ per cell): 367.44

a = 3.3408 Å, b = 3.3408 Å, c = 38.0144 Å
α = 90.00°, β = 90.00°, γ = 120.00°
Space group P3m1 (No. 156)
One atom of each set of equivalent atoms:
Te 0.0000 0.0000 0.0000 x1
Te 0.0000 0.0000 0.0997 x1
Mo 0.0000 0.0000 0.4862 x1
Mo 0.0000 0.0000 0.8619 x1
Mo 0.3333 0.6667 0.0499 x1
W 0.3333 0.6667 0.6741 x1
Se 0.3333 0.6667 0.4424 x1
Se 0.3333 0.6667 0.5300 x1
Se 0.3333 0.6667 0.8181 x1
Se 0.3333 0.6667 0.9058 x1
S 0.0000 0.0000 0.6340 x1
S 0.0000 0.0000 0.7141 x1

=====

Entry from Materials Project: an optimized crystal structure of Te2MoWSeS (GGA-PBE).

Offset from the most stable computed form (eV per atom): 0.000
Size of the total moment (μB per atom): 0.000
DFT formation energy (meV/atom): -507
V (Å³ per cell): 397.61

a = 3.3947 Å, b = 3.3947 Å, c = 39.8409 Å
α = 90.00°, β = 90.00°, γ = 120.00°
Space group P3m1 (No. 156)
One atom of each set of equivalent atoms:
Te 0.0000 0.0000 0.0000 x1
Te 0.0000 0.0000 0.0940 x1
Te 0.3333 0.6667 0.8094 x1
Te 0.3333 0.6667 0.9034 x1
Mo 0.0000 0.0000 0.8563 x1
Mo 0.3333 0.6667 0.0470 x1
W 0.0000 0.0000 0.2337 x1
W 0.3333 0.6667 0.4215 x1
Se 0.0000 0.0000 0.3800 x1
Se 0.0000 0.0000 0.4631 x1
S 0.3333 0.6667 0.1958 x1
S 0.3333 0.6667 0.2716 x1

=====

Entry from Materials Project: an optimized crystal structure of Te2Mo3WSe4S2 (GGA-PBE).

Offset from the most stable computed form (eV per atom): 0.037
Size of the total moment (μB per atom): 0.000
DFT formation energy (meV/atom): -616
V (Å³ per cell): 369.51

a = 3.3470 Å, b = 3.3470 Å, c = 38.0876 Å
α = 90.00°, β = 90.00°, γ = 120.00°
Space group P3m1 (No. 156)
One atom of each set of equivalent atoms:
Te 0.0000 0.0000 0.0000 x1
Te 0.0000 0.0000 0.1002 x1
Mo 0.0000 0.0000 0.2381 x1
Mo 0.0000 0.0000 0.8623 x1
Mo 0.3333 0.6667 0.4259 x1
W 0.3333 0.6667 0.0501 x1
Se 0.0000 0.0000 0.3821 x1
Se 0.0000 0.0000 0.4697 x1
Se 0.3333 0.6667 0.1943 x1
Se 0.3333 0.6667 0.2818 x1
S 0.3333 0.6667 0.8224 x1
S 0.3333 0.6667 0.9021 x1

=====

Entry from Materials Project: an optimized crystal structure of Te2MoWSeS (GGA-PBE).

Offset from the most stable computed form (eV per atom): 0.035
Size of the total moment (μB per atom): 0.000
DFT formation energy (meV/atom): -472
V (Å³ per cell): 405.90

a = 3.3975 Å, b = 3.3975 Å, c = 40.6040 Å
α = 90.00°, β = 90.00°, γ = 120.00°
Space group P3m1 (No. 156)
One atom of each set of equivalent atoms:
Te 0.0000 0.0000 0.0000 x1
Te 0.0000 0.0000 0.0923 x1
Te 0.6667 0.3333 0.8091 x1
Te 0.6667 0.3333 0.9020 x1
Mo 0.6667 0.3333 0.0462 x1
Mo 0.6667 0.3333 0.6693 x1
W 0.0000 0.0000 0.2335 x1
W 0.0000 0.0000 0.8555 x1
Se 0.6667 0.3333 0.1927 x1
Se 0.6667 0.3333 0.2742 x1
S 0.0000 0.0000 0.6323 x1
S 0.0000 0.0000 0.7063 x1

=====

Entry from Materials Project: an optimized crystal structure of Te2MoW3Se4S2 (GGA-PBE).

Offset from the most stable computed form (eV per atom): 0.038
Size of the total moment (μB per atom): 0.002
DFT formation energy (meV/atom): -557
V (Å³ per cell): 369.41

a = 3.3448 Å, b = 3.3448 Å, c = 38.1265 Å
α = 90.00°, β = 90.00°, γ = 120.00°
Space group P3m1 (No. 156)
One atom of each set of equivalent atoms:
Te 0.0000 0.0000 0.0000 x1
Te 0.0000 0.0000 0.1000 x1
Mo 0.0000 0.0000 0.8622 x1
W 0.0000 0.0000 0.2380 x1
W 0.3333 0.6667 0.0501 x1
W 0.3333 0.6667 0.4258 x1
Se 0.0000 0.0000 0.3819 x1
Se 0.0000 0.0000 0.4698 x1
Se 0.3333 0.6667 0.1940 x1
Se 0.3333 0.6667 0.2819 x1
S 0.3333 0.6667 0.8224 x1
S 0.3333 0.6667 0.9020 x1

=====

Entry from Materials Project: an optimized crystal structure of TeMoWSe2S (GGA-PBE).

Offset from the most stable computed form (eV per atom): 0.037
Size of the total moment (μB per atom): 0.000
DFT formation energy (meV/atom): -587
V (Å³ per cell): 369.68

a = 3.3455 Å, b = 3.3455 Å, c = 38.1405 Å
α = 90.00°, β = 90.00°, γ = 120.00°
Space group P3m1 (No. 156)
One atom of each set of equivalent atoms:
Te 0.0000 0.0000 0.0000 x1
Te 0.0000 0.0000 0.1001 x1
Mo 0.0000 0.0000 0.8622 x1
Mo 0.3333 0.6667 0.4259 x1
W 0.0000 0.0000 0.2380 x1
W 0.3333 0.6667 0.0500 x1
Se 0.0000 0.0000 0.3821 x1
Se 0.0000 0.0000 0.4696 x1
Se 0.3333 0.6667 0.1941 x1
Se 0.3333 0.6667 0.2820 x1
S 0.3333 0.6667 0.8224 x1
S 0.3333 0.6667 0.9020 x1

=====

Entry from Materials Project: an optimized crystal structure of Te2MoWSeS (GGA-PBE).

Offset from the most stable computed form (eV per atom): 0.036
Size of the total moment (μB per atom): 0.000
DFT formation energy (meV/atom): -471
V (Å³ per cell): 387.51

a = 3.3993 Å, b = 3.3993 Å, c = 38.7228 Å
α = 90.00°, β = 90.00°, γ = 120.00°
Space group P3m1 (No. 156)
One atom of each set of equivalent atoms:
Te 0.0000 0.0000 0.0000 x1
Te 0.0000 0.0000 0.0968 x1
Te 0.0000 0.0000 0.3754 x1
Te 0.0000 0.0000 0.4728 x1
Mo 0.0000 0.0000 0.2362 x1
Mo 0.3333 0.6667 0.0484 x1
W 0.0000 0.0000 0.8605 x1
W 0.3333 0.6667 0.4241 x1
Se 0.3333 0.6667 0.8177 x1
Se 0.3333 0.6667 0.9032 x1
S 0.3333 0.6667 0.1974 x1
S 0.3333 0.6667 0.2750 x1

=====

Entry from Materials Project: an optimized crystal structure of Te2MoWSeS (GGA-PBE).

Offset from the most stable computed form (eV per atom): 0.036
Size of the total moment (μB per atom): 0.000
DFT formation energy (meV/atom): -471
V (Å³ per cell): 387.13

a = 3.3982 Å, b = 3.3982 Å, c = 38.7105 Å
α = 90.00°, β = 90.00°, γ = 120.00°
Space group P3m1 (No. 156)
One atom of each set of equivalent atoms:
Te 0.0000 0.0000 0.0000 x1
Te 0.0000 0.0000 0.0974 x1
Te 0.3333 0.6667 0.4367 x1
Te 0.3333 0.6667 0.5334 x1
Mo 0.0000 0.0000 0.4851 x1
Mo 0.0000 0.0000 0.8608 x1
W 0.3333 0.6667 0.0487 x1
W 0.3333 0.6667 0.6730 x1
Se 0.0000 0.0000 0.6302 x1
Se 0.0000 0.0000 0.7158 x1
S 0.3333 0.6667 0.8220 x1
S 0.3333 0.6667 0.8997 x1

=====

Entry from Materials Project: an optimized crystal structure of Te2MoWSeS (GGA-PBE).

Offset from the most stable computed form (eV per atom): 0.021
Size of the total moment (μB per atom): 0.000
DFT formation energy (meV/atom): -486
V (Å³ per cell): 387.42

a = 3.3948 Å, b = 3.3948 Å, c = 38.8174 Å
α = 90.00°, β = 90.00°, γ = 120.00°
Space group P3m1 (No. 156)
One atom of each set of equivalent atoms:
Te 0.0000 0.0000 0.0000 x1
Te 0.0000 0.0000 0.0965 x1
Te 0.0000 0.0000 0.6240 x1
Te 0.0000 0.0000 0.7210 x1
Mo 0.0000 0.0000 0.4846 x1
Mo 0.3333 0.6667 0.0483 x1
W 0.0000 0.0000 0.8604 x1
W 0.3333 0.6667 0.6725 x1
Se 0.3333 0.6667 0.4422 x1
Se 0.3333 0.6667 0.5271 x1
S 0.3333 0.6667 0.8216 x1
S 0.3333 0.6667 0.8992 x1